{
  "formula": "SrLiB9O15",
  "functional": "GGA-PBE",
  "state": "optimized geometry",
  "cell": [[5.410, 3.123, 5.928], [-5.410, 3.123, 5.928], [0.000, -6.247, 5.928]],
  "species": ["Sr", "Sr", "Li", "Li", "B", "B", "B", "B", "B", "B", "B", "B", "B", "B", "B", "B", "B", "B", "B", "B", "B", "B", "O", "O", "O", "O", "O", "O", "O", "O", "O", "O", "O", "O", "O", "O", "O", "O", "O", "O", "O", "O", "O", "O", "O", "O", "O", "O", "O", "O", "O", "O"],
  "fractional_positions": [[0.000, 0.000, 0.000], [0.500, 0.500, 0.500], [0.241, 0.241, 0.241], [0.741, 0.741, 0.741], [0.112, 0.777, 0.633], [0.133, 0.277, 0.612], [0.219, 0.783, 0.341], [0.277, 0.612, 0.133], [0.283, 0.719, 0.841], [0.288, 0.431, 0.948], [0.341, 0.219, 0.783], [0.431, 0.948, 0.288], [0.448, 0.931, 0.788], [0.612, 0.133, 0.277], [0.633, 0.112, 0.777], [0.719, 0.841, 0.283], [0.777, 0.633, 0.112], [0.783, 0.341, 0.219], [0.788, 0.448, 0.931], [0.841, 0.283, 0.719], [0.931, 0.788, 0.448], [0.948, 0.288, 0.431], [0.013, 0.243, 0.739], [0.050, 0.815, 0.319], [0.106, 0.283, 0.455], [0.133, 0.803, 0.777], [0.239, 0.743, 0.513], [0.243, 0.739, 0.013], [0.268, 0.283, 0.933], [0.277, 0.303, 0.633], [0.283, 0.455, 0.106], [0.283, 0.933, 0.268], [0.303, 0.633, 0.277], [0.315, 0.550, 0.819], [0.319, 0.050, 0.815], [0.433, 0.783, 0.768], [0.455, 0.106, 0.283], [0.513, 0.239, 0.743], [0.550, 0.819, 0.315], [0.606, 0.955, 0.783], [0.633, 0.277, 0.303], [0.739, 0.013, 0.243], [0.743, 0.513, 0.239], [0.768, 0.433, 0.783], [0.777, 0.133, 0.803], [0.783, 0.606, 0.955], [0.783, 0.768, 0.433], [0.803, 0.777, 0.133], [0.815, 0.319, 0.050], [0.819, 0.315, 0.550], [0.933, 0.268, 0.283], [0.955, 0.783, 0.606]],
  "formation_enthalpy_0k_mev_per_atom": -2929,
  "energy_corrected_mp2020_ev_per_atom": -8.23
}